# 1
Density functional theory data (PBE-GGA) for crystalline Na7Hf2Mg2SiP5O24 at its relaxed geometry.

Geometry as CIF:
```
data_Na7Hf2Mg2SiP5O24
_symmetry_space_group_name_H-M 'P 1'
_symmetry_Int_Tables_number 1
_symmetry_space_group_name_Hall 'P 1'
_cell_length_a 9.055
_cell_length_b 9.060
_cell_length_c 22.227
_cell_angle_alpha 89.90
_cell_angle_beta 90.00
_cell_angle_gamma 60.04
loop_
_atom_site_label
_atom_site_fract_x
_atom_site_fract_y
_atom_site_fract_z
Na1 0.000 0.000 0.000
Na2 0.003 0.334 0.504
Na3 0.268 0.335 0.003
Na4 0.270 0.715 0.505
Na5 0.281 0.025 0.422
Na6 0.284 0.388 0.669
Na7 0.287 0.658 0.172
Na8 0.300 0.023 0.922
Na9 0.331 0.672 0.836
Na10 0.335 0.324 0.341
Na11 0.602 0.672 0.335
Na12 0.606 0.000 0.501
Na13 0.617 0.720 0.008
Na14 0.629 0.346 0.757
Na15 0.644 0.337 0.257
Na16 0.665 0.998 0.168
Na17 0.934 0.393 0.169
Na18 0.938 0.004 0.671
Na19 0.946 0.326 0.840
Na20 0.947 0.679 0.591
Na21 0.954 0.681 0.089
Hf1 0.292 0.014 0.268
Hf2 0.302 0.016 0.768
Hf3 0.624 0.356 0.602
Hf4 0.630 0.353 0.100
Hf5 0.955 0.685 0.933
Hf6 0.963 0.685 0.434
Mg1 0.295 0.017 0.066
Mg2 0.298 0.017 0.566
Mg3 0.632 0.342 0.399
Mg4 0.632 0.343 0.898
Mg5 0.954 0.684 0.732
Mg6 0.958 0.685 0.233
Si1 0.330 0.349 0.496
Si2 0.592 0.720 0.164
Si3 0.929 0.348 0.996
P1 0.000 0.015 0.162
P2 0.257 0.683 0.330
P3 0.258 0.390 0.830
P4 0.294 0.722 0.664
P5 0.295 0.312 0.165
P6 0.333 0.645 0.996
P7 0.594 0.014 0.662
P8 0.626 0.645 0.495
P9 0.627 0.058 0.998
P10 0.665 0.982 0.329
P11 0.666 0.681 0.831
P12 0.920 0.058 0.500
P13 0.959 0.388 0.331
P14 0.961 0.980 0.828
P15 0.999 0.313 0.665
O1 0.089 0.048 0.217
O2 0.092 0.196 0.721
O3 0.100 0.995 0.105
O4 0.104 0.022 0.507
O5 0.104 0.227 0.608
O6 0.120 0.185 0.003
O7 0.129 0.211 0.330
O8 0.131 0.992 0.828
O9 0.138 0.480 0.886
O10 0.138 0.697 0.669
O11 0.139 0.527 0.495
O12 0.144 0.494 0.172
O13 0.150 0.663 0.993
O14 0.150 0.700 0.388
O15 0.169 0.667 0.275
O16 0.172 0.495 0.773
O17 0.266 0.212 0.827
O18 0.267 0.232 0.109
O19 0.273 0.849 0.330
O20 0.277 0.826 0.608
O21 0.301 0.186 0.504
O22 0.311 0.823 0.003
O23 0.312 0.814 0.722
O24 0.317 0.199 0.221
O25 0.417 0.529 0.053
O26 0.424 0.380 0.556
O27 0.433 0.371 0.838
O28 0.437 0.528 0.335
O29 0.438 0.558 0.940
O30 0.444 0.324 0.438
O31 0.459 0.540 0.663
O32 0.464 0.318 0.162
O33 0.468 0.815 0.223
O34 0.469 0.821 0.504
O35 0.473 0.039 0.716
O36 0.476 0.027 0.003
O37 0.483 0.845 0.827
O38 0.483 0.995 0.329
O39 0.503 0.832 0.105
O40 0.513 0.000 0.604
O41 0.599 0.176 0.946
O42 0.602 0.530 0.163
O43 0.603 0.185 0.662
O44 0.605 0.565 0.438
O45 0.636 0.163 0.334
O46 0.638 0.528 0.836
O47 0.655 0.136 0.058
O48 0.661 0.522 0.550
O49 0.745 0.705 0.891
O50 0.753 0.870 0.386
O51 0.763 0.892 0.273
O52 0.775 0.865 0.670
O53 0.782 0.658 0.779
O54 0.784 0.691 0.170
O55 0.789 0.665 0.493
O56 0.797 0.881 0.993
O57 0.801 0.370 0.338
O58 0.804 0.379 0.056
O59 0.809 0.161 0.833
O60 0.811 0.139 0.558
O61 0.818 0.178 0.161
O62 0.823 0.321 0.663
O63 0.836 0.176 0.447
O64 0.840 0.322 0.937
O65 0.925 0.883 0.493
O66 0.941 0.526 0.995
O67 0.942 0.492 0.275
O68 0.953 0.889 0.772
O69 0.980 0.858 0.172
O70 0.982 0.489 0.672
O71 0.983 0.481 0.387
O72 0.985 0.868 0.886
```



# 2
Density functional theory data (PBE-GGA) for crystalline PrMgAu2 at its relaxed geometry.

Geometry as CIF:
```
data_PrMgAu2
_symmetry_space_group_name_H-M 'F m -3 m'
_symmetry_Int_Tables_number 225
_symmetry_space_group_name_Hall '-F 4 2 3'
_cell_length_a 7.153
_cell_length_b 7.153
_cell_length_c 7.153
_cell_angle_alpha 90.00
_cell_angle_beta 90.00
_cell_angle_gamma 90.00
loop_
_atom_site_label
_atom_site_fract_x
_atom_site_fract_y
_atom_site_fract_z
Pr1 0.000 0.000 0.000
Mg1 0.000 0.000 0.500
Au1 0.250 0.250 0.250
```



| no. | energy relative to the elements (kJ per mole of atoms) |
| --- | --- |
| 1 | -285.27 |
| 2 | -69.55 |